# 1
# Nb2Zn2SnO8 (PBE, optimized geometry)
# energy of formation	-2400	meV per atom
data_Nb2Zn2SnO8
_chemical_formula_sum 'Nb8 Zn8 Sn4 O32'
_symmetry_space_group_name_H-M 'C 1 2/c 1'
_symmetry_Int_Tables_number 15
_cell_length_a 20.9642
_cell_length_b 6.0640
_cell_length_c 5.4053
_cell_angle_alpha 90.00
_cell_angle_beta 90.96
_cell_angle_gamma 90.00
loop_
_symmetry_equiv_pos_as_xyz
'x,y,z'
'-x,-y,-z'
'-x,y,-z+1/2'
'x,-y,z+1/2'
'x+1/2,y+1/2,z'
'-x+1/2,-y+1/2,-z'
'-x+1/2,y+1/2,-z+1/2'
'x+1/2,-y+1/2,z+1/2'
loop_
_atom_site_label
_atom_site_fract_x
_atom_site_fract_y
_atom_site_fract_z
_atom_site_occupancy
Nb1 0.1258 0.1617 0.2280 1
Zn1 0.2213 0.3489 0.7300 1
Sn1 0.0000 0.3098 0.7500 1
O1 0.0676 0.3722 0.1205 1
O2 0.0814 0.0909 0.5422 1
O3 0.1833 0.1119 0.9284 1
O4 0.1990 0.3525 0.3628 1

---

# 2
# Li7Cu12S10 (PBE, optimized geometry)
# energy of formation	-735	meV per atom
data_Li7Cu12S10
_chemical_formula_sum 'Li14 Cu24 S20'
_symmetry_space_group_name_H-M 'P 1 2/m 1'
_symmetry_Int_Tables_number 10
_cell_length_a 14.9818
_cell_length_b 3.7546
_cell_length_c 15.4494
_cell_angle_alpha 90.00
_cell_angle_beta 92.46
_cell_angle_gamma 90.00
loop_
_symmetry_equiv_pos_as_xyz
'x,y,z'
'-x,-y,-z'
'-x,y,-z'
'x,-y,z'
loop_
_atom_site_label
_atom_site_fract_x
_atom_site_fract_y
_atom_site_fract_z
_atom_site_occupancy
Li1 0.0000 0.0000 0.0000 1
Li2 0.1030 0.5000 0.6963 1
Li3 0.1849 0.5000 0.8971 1
Li4 0.2252 0.0000 0.4011 1
Li5 0.2984 0.0000 0.6153 1
Li6 0.3002 0.5000 0.0790 1
Li7 0.3756 0.5000 0.2946 1
Li8 0.5000 0.0000 0.0000 1
Cu1 0.0105 0.0000 0.4190 1
Cu2 0.0154 0.5000 0.1435 1
Cu3 0.0510 0.0000 0.2616 1
Cu4 0.1022 0.5000 0.5009 1
Cu5 0.1580 0.0000 0.1296 1
Cu6 0.1860 0.5000 0.2470 1
Cu7 0.3036 0.0000 0.8086 1
Cu8 0.3868 0.5000 0.9054 1
Cu9 0.4135 0.5000 0.7300 1
Cu10 0.4162 0.0000 0.4464 1
Cu11 0.4478 0.5000 0.5655 1
Cu12 0.4954 0.0000 0.1946 1
S1 0.0695 0.0000 0.8321 1
S2 0.0815 0.5000 0.3525 1
S3 0.1277 0.5000 0.0495 1
S4 0.1387 0.0000 0.5727 1
S5 0.2639 0.5000 0.7332 1
S6 0.2732 0.0000 0.2364 1
S7 0.3180 0.0000 0.9567 1
S8 0.3304 0.5000 0.4664 1
S9 0.4642 0.5000 0.1227 1
S10 0.4786 0.0000 0.6564 1

---

# 3
# Mg14ZrCd (PBE, optimized geometry)
# energy of formation	1	meV per atom
data_Mg14ZrCd
_chemical_formula_sum 'Mg28 Zr2 Cd2'
_symmetry_space_group_name_H-M 'A m m 2'
_symmetry_Int_Tables_number 38
_cell_length_a 10.1727
_cell_length_b 6.3826
_cell_length_c 11.1626
_cell_angle_alpha 90.00
_cell_angle_beta 90.00
_cell_angle_gamma 90.00
loop_
_symmetry_equiv_pos_as_xyz
'x,y,z'
'-x,-y,z'
'-x,y,z'
'x,-y,z'
'x,y+1/2,z+1/2'
'-x,-y+1/2,z+1/2'
'-x,y+1/2,z+1/2'
'x,-y+1/2,z+1/2'
loop_
_atom_site_label
_atom_site_fract_x
_atom_site_fract_y
_atom_site_fract_z
_atom_site_occupancy
Mg1 0.0000 0.0000 0.9999 1
Mg2 0.0000 0.0000 0.5000 1
Mg3 0.0000 0.2503 0.2499 1
Mg4 0.2499 0.0000 0.1642 1
Mg5 0.2515 0.2470 0.9173 1
Mg6 0.2531 0.0000 0.6660 1
Mg7 0.5000 0.2461 0.2515 1
Zr1 0.5000 0.0000 0.0015 1
Cd1 0.5000 0.0000 0.4969 1

---

Ordered raw total energy results: -368.073; -240.391; -63.732; unit eV/cell.